! GGA-PBE Na3ZrSi2SnPO12, relaxed; values from VASP
! Raw total energy   -846.3 eV for the cell shown
&SYSTEM
  ibrav = 0, nat = 120, ntyp = 6
/
ATOMIC_SPECIES
O 16.00 O.upf
P 30.97 P.upf
Na 22.99 Na.upf
Zr 91.22 Zr.upf
Si 28.09 Si.upf
Sn 118.71 Sn.upf
CELL_PARAMETERS angstrom
-8.9854 0.7526 1.3567
5.5385 -1.8334 7.0154
2.4946 22.3263 3.9024
ATOMIC_POSITIONS crystal
O 0.8493 0.5275 0.7459
O 0.8378 0.5399 0.0238
O 0.4964 0.1538 0.9207
O 0.4945 0.3577 0.4217
O 0.1798 0.9729 0.1980
O 0.7011 0.1576 0.0305
O 0.9673 0.1736 0.3034
O 0.4923 0.1272 0.6409
O 0.3614 0.8563 0.5791
O 0.3655 0.8807 0.8554
O 0.6931 0.5180 0.2454
O 0.6334 0.1413 0.4208
O 0.5089 0.8586 0.0766
O 0.8555 0.3665 0.9224
O 0.1631 0.6964 0.4693
O 0.6391 0.5049 0.6372
O 0.5394 0.8390 0.4732
O 0.0271 0.2112 0.1892
O 0.5091 0.6318 0.8645
O 0.9714 0.7841 0.8099
O 0.8803 0.5032 0.1407
O 0.6323 0.1156 0.1406
O 0.8087 0.9695 0.4109
O 0.5107 0.8323 0.7554
O 0.8219 0.3059 0.2437
O 0.1835 0.1754 0.0869
O 0.2949 0.8342 0.9716
O 0.0296 0.8415 0.4106
O 0.7906 0.8233 0.1922
O 0.3067 0.4531 0.4732
O 0.1210 0.6364 0.3536
O 0.8808 0.3588 0.6413
O 0.6929 0.5428 0.5226
O 0.8313 0.0352 0.8069
O 0.5005 0.3746 0.1374
O 0.1574 0.9705 0.9113
O 0.2189 0.0285 0.3068
O 0.1217 0.4943 0.8584
O 0.5043 0.8735 0.3568
O 0.8240 0.0233 0.0893
O 0.8229 0.7897 0.3069
O 0.4771 0.3091 0.7463
O 0.5512 0.6992 0.9745
O 0.9743 0.1709 0.5889
O 0.2974 0.4790 0.7575
O 0.4615 0.1577 0.5250
O 0.4925 0.6388 0.5790
O 0.8451 0.3048 0.5319
O 0.7881 0.9691 0.6915
O 0.3117 0.8388 0.2540
O 0.8286 0.8214 0.5869
O 0.0289 0.1880 0.9123
O 0.2133 0.1731 0.8098
O 0.3666 0.5130 0.0765
O 0.1614 0.4530 0.9748
O 0.0304 0.8248 0.7005
O 0.6914 0.1695 0.7463
O 0.4788 0.1565 0.2433
O 0.1899 0.0330 0.5889
O 0.1629 0.4909 0.2534
O 0.6428 0.5060 0.9219
O 0.8086 0.8223 0.9110
O 0.1408 0.4856 0.5783
O 0.5183 0.6970 0.2555
O 0.9672 0.8065 0.0885
O 0.8477 0.5056 0.4188
O 0.3696 0.4909 0.3633
O 0.1447 0.6349 0.0777
O 0.1735 0.2097 0.6938
O 0.1653 0.6954 0.7561
O 0.1799 0.1940 0.4102
O 0.4557 0.3031 0.0208
P 0.6631 0.0403 0.0838
P 0.0014 0.7080 0.7537
P 0.3333 0.3742 0.4174
P 0.2976 0.0020 0.2511
P 0.6267 0.6683 0.9180
P 0.9603 0.3332 0.5857
Na 0.3301 0.6587 0.1669
Na 0.9969 0.3594 0.7518
Na 0.9983 0.9914 0.5005
Na 0.6642 0.3244 0.8346
Na 0.7021 0.6673 0.4183
Na 0.6395 0.0006 0.2510
Na 0.3318 0.2971 0.9186
Na 0.0090 0.0030 0.9996
Na 0.6743 0.3360 0.3328
Na 0.0368 0.3357 0.0844
Na 0.3071 0.3351 0.5844
Na 0.3420 0.6688 0.6680
Na 0.9984 0.6324 0.2516
Na 0.3693 0.0016 0.7530
Na 0.3319 0.0277 0.4174
Na 0.9721 0.6678 0.9181
Na 0.6659 0.6943 0.0842
Na 0.6649 0.9649 0.5853
Zr 0.9927 0.0018 0.3511
Zr 0.9966 0.9934 0.6493
Zr 0.6751 0.3363 0.4806
Zr 0.0070 0.0023 0.1475
Zr 0.6593 0.3348 0.6868
Zr 0.3309 0.6729 0.5190
Si 0.0398 0.6662 0.4131
Si 0.7037 0.9951 0.7511
Si 0.6241 0.9588 0.4151
Si 0.7000 0.7012 0.2494
Si 0.3766 0.3352 0.0802
Si 0.2920 0.2967 0.7521
Si 0.3349 0.9598 0.9152
Si 0.6681 0.6295 0.5815
Si 0.9589 0.6237 0.0818
Si 0.0390 0.3730 0.9167
Si 0.3714 0.0402 0.5830
Si 0.0004 0.2988 0.2474
Sn 0.3302 0.6591 0.3145
Sn 0.3284 0.6675 0.0181
Sn 0.6645 0.3263 0.9808
Sn 0.6655 0.3387 0.1842
Sn 0.9996 0.0050 0.8529
Sn 0.3384 0.6691 0.8161

=====

! GGA-PBE Na7Zr2Si5Sn2PO24, relaxed; values from VASP
! Raw total energy   -859.1 eV for the cell shown
&SYSTEM
  ibrav = 0, nat = 123, ntyp = 6
/
ATOMIC_SPECIES
O 16.00 O.upf
Zr 91.22 Zr.upf
Sn 118.71 Sn.upf
Na 22.99 Na.upf
P 30.97 P.upf
Si 28.09 Si.upf
CELL_PARAMETERS angstrom
9.1480 0.0035 0.0107
-4.5710 7.9186 -0.0042
0.0271 0.0032 22.9793
ATOMIC_POSITIONS crystal
O 0.8283 0.7875 0.3084
O 0.4882 0.3602 0.1411
O 0.9598 0.7893 0.8080
O 0.3652 0.4853 0.3626
O 0.9611 0.1668 0.3062
O 0.1263 0.4917 0.8596
O 0.4951 0.1230 0.6414
O 0.4564 0.1637 0.5254
O 0.3124 0.4775 0.7563
O 0.3090 0.8321 0.2561
O 0.1831 0.1622 0.0893
O 0.9762 0.1619 0.5897
O 0.0254 0.8401 0.4107
O 0.6350 0.1199 0.1386
O 0.6914 0.5238 0.2441
O 0.6431 0.5087 0.9229
O 0.1584 0.9732 0.9104
O 0.6337 0.1458 0.4228
O 0.8289 0.5207 0.7443
O 0.8376 0.8120 0.5891
O 0.2990 0.8406 0.9733
O 0.3631 0.8739 0.8590
O 0.8326 0.0403 0.8058
O 0.1661 0.6900 0.7557
O 0.1583 0.7011 0.4731
O 0.0380 0.2095 0.1908
O 0.4775 0.1661 0.2440
O 0.7886 0.9608 0.6911
O 0.1874 0.0247 0.5892
O 0.6912 0.1707 0.7440
O 0.7000 0.1564 0.0310
O 0.3487 0.4985 0.0774
O 0.1721 0.2107 0.6917
O 0.7044 0.5425 0.5254
O 0.8443 0.5010 0.4225
O 0.8766 0.5069 0.1401
O 0.8077 0.8251 0.9103
O 0.8430 0.5391 0.0260
O 0.2097 0.0396 0.3085
O 0.5091 0.8758 0.3602
O 0.8139 0.9719 0.4108
O 0.4803 0.3086 0.7439
O 0.8569 0.3626 0.9232
O 0.4941 0.3571 0.4226
O 0.1241 0.6355 0.3594
O 0.3048 0.4548 0.4713
O 0.8353 0.2907 0.5282
O 0.5222 0.6885 0.2568
O 0.1600 0.4568 0.9726
O 0.3571 0.8574 0.5771
O 0.1720 0.9606 0.1924
O 0.9841 0.8205 0.0891
O 0.5150 0.6353 0.8617
O 0.4570 0.2964 0.0270
O 0.1462 0.6471 0.0769
O 0.6283 0.5049 0.6416
O 0.0387 0.8286 0.6919
O 0.8792 0.3734 0.6423
O 0.4993 0.6420 0.5771
O 0.7922 0.8341 0.1937
O 0.4957 0.1513 0.9227
O 0.5068 0.8673 0.0765
O 0.8322 0.0304 0.0896
O 0.1686 0.4753 0.2560
O 0.5421 0.6965 0.9696
O 0.0294 0.1858 0.9106
O 0.5437 0.8413 0.4731
O 0.2127 0.1719 0.8074
O 0.5244 0.8328 0.7559
O 0.1445 0.4990 0.5770
O 0.1760 0.1923 0.4108
O 0.8320 0.3075 0.2436
Zr 0.3310 0.6625 0.0179
Zr 0.6666 0.3296 0.9821
Zr 0.6678 0.3390 0.1854
Zr 0.3308 0.6694 0.3152
Zr 0.3340 0.6705 0.5182
Zr 0.3311 0.6694 0.8146
Sn 0.9988 0.9963 0.1488
Sn 0.9993 0.0030 0.8509
Sn 0.6671 0.3332 0.6849
Sn 0.9966 0.0003 0.3514
Sn 0.6741 0.3325 0.4825
Sn 0.9997 0.0000 0.6484
Na 0.3652 0.3655 0.2492
Na 0.9998 0.6339 0.2502
Na 0.3001 0.3325 0.5841
Na 0.6729 0.3325 0.3344
Na 0.3327 0.0304 0.4167
Na 0.9979 0.0024 0.4996
Na 0.9947 0.9971 0.0000
Na 0.2977 0.9682 0.0831
Na 0.3365 0.6646 0.1663
Na 0.0343 0.3347 0.0842
Na 0.6343 0.6336 0.7491
Na 0.6684 0.9682 0.5836
Na 0.6671 0.3269 0.8332
Na 0.3309 0.2980 0.9168
Na 0.0319 0.6996 0.5836
Na 0.7014 0.6682 0.4171
Na 0.9990 0.3650 0.7497
Na 0.9704 0.6680 0.9167
Na 0.3337 0.6663 0.6667
Na 0.6357 0.0004 0.2506
Na 0.3671 0.0015 0.7499
P 0.6279 0.6706 0.9160
P 0.3314 0.3714 0.4168
P 0.6683 0.0396 0.0843
Si 0.9578 0.6305 0.0833
Si 0.3333 0.9616 0.9163
Si 0.0369 0.3681 0.9158
Si 0.3721 0.3338 0.0839
Si 0.7115 0.0019 0.7493
Si 0.9972 0.7096 0.7497
Si 0.2918 0.2894 0.7493
Si 0.3765 0.0459 0.5835
Si 0.9569 0.3312 0.5845
Si 0.7114 0.7124 0.2501
Si 0.0352 0.6643 0.4167
Si 0.6682 0.6235 0.5837
Si 0.0000 0.2875 0.2496
Si 0.6324 0.9660 0.4167
Si 0.2887 0.0006 0.2505

=====

! GGA-PBE Na3ZrSi2SnPO12, relaxed; values from VASP
! Raw total energy   -564.2 eV for the cell shown
&SYSTEM
  ibrav = 0, nat = 80, ntyp = 6
/
ATOMIC_SPECIES
Na 22.99 Na.upf
O 16.00 O.upf
Zr 91.22 Zr.upf
P 30.97 P.upf
Si 28.09 Si.upf
Sn 118.71 Sn.upf
CELL_PARAMETERS angstrom
13.1194 -0.0113 -8.8214
-0.0056 9.1211 0.0033
-0.1548 0.0034 9.1595
ATOMIC_POSITIONS crystal
Na 0.3151 0.5763 0.7050
Na 0.3163 0.4213 0.2063
Na 0.8149 0.0764 0.7038
Na 0.2465 0.7640 0.9968
Na 0.8136 0.9236 0.2029
Na 0.7439 0.2621 0.9942
Na 0.0031 0.4192 0.2522
Na 0.5008 0.0842 0.7490
Na 0.2462 0.2355 0.4971
Na 0.5026 0.9128 0.2516
Na 0.7443 0.7382 0.4945
Na 0.0012 0.5835 0.7497
O 0.8495 0.5745 0.7512
O 0.7534 0.3170 0.7412
O 0.4256 0.3639 0.7582
O 0.2551 0.8163 0.7392
O 0.4331 0.5533 0.5769
O 0.3589 0.1491 0.0901
O 0.3511 0.0723 0.7561
O 0.0800 0.8548 0.7438
O 0.3537 0.9219 0.2552
O 0.5664 0.4470 0.4207
O 0.7481 0.8396 0.7561
O 0.7481 0.1598 0.2539
O 0.6482 0.8662 0.9233
O 0.0623 0.0558 0.9107
O 0.5789 0.3596 0.7408
O 0.1524 0.4255 0.2409
O 0.4573 0.1729 0.4388
O 0.1500 0.3611 0.9213
O 0.4234 0.6378 0.2594
O 0.4546 0.8232 0.9330
O 0.8542 0.3466 0.5841
O 0.9237 0.1347 0.2581
O 0.6509 0.1333 0.4263
O 0.4364 0.4471 0.0847
O 0.0451 0.6687 0.0734
O 0.2573 0.1781 0.2436
O 0.1497 0.5813 0.7439
O 0.5431 0.8314 0.5639
O 0.2523 0.6651 0.2589
O 0.5658 0.5569 0.9150
O 0.0422 0.3370 0.5676
O 0.3571 0.8551 0.5815
O 0.8568 0.6528 0.0865
O 0.7536 0.6828 0.2400
O 0.6486 0.0791 0.7416
O 0.0661 0.9448 0.4211
O 0.9370 0.0508 0.5773
O 0.0784 0.1438 0.2469
O 0.5427 0.1661 0.0704
O 0.9550 0.3308 0.9305
O 0.2490 0.3412 0.7531
O 0.6492 0.9195 0.2420
O 0.5782 0.6450 0.2440
O 0.8502 0.4270 0.2524
O 0.9548 0.6737 0.4352
O 0.9239 0.8611 0.7546
O 0.9388 0.9452 0.0844
O 0.1513 0.6339 0.4287
Zr 0.8941 0.2553 0.4335
Zr 0.1046 0.2499 0.0609
Zr 0.8950 0.7453 0.9345
Zr 0.3947 0.2438 0.9353
P 0.0024 0.9563 0.7457
P 0.0035 0.0403 0.2528
P 0.5033 0.5424 0.2525
P 0.5029 0.4606 0.7475
Si 0.3521 0.8926 0.7500
Si 0.6482 0.1013 0.2461
Si 0.6464 0.8971 0.7439
Si 0.3549 0.1015 0.2592
Si 0.1487 0.3999 0.7437
Si 0.8511 0.6062 0.2533
Si 0.1515 0.6066 0.2510
Si 0.8494 0.3956 0.7514
Sn 0.3970 0.7532 0.4362
Sn 0.6027 0.7498 0.0587
Sn 0.1036 0.7506 0.5605
Sn 0.6037 0.2499 0.5595

=====

! GGA-PBE Na3Ta4Si5PO24, relaxed; values from VASP
! Raw total energy   -908.8 eV for the cell shown
&SYSTEM
  ibrav = 0, nat = 111, ntyp = 5
/
ATOMIC_SPECIES
O 16.00 O.upf
Si 28.09 Si.upf
Ta 180.95 Ta.upf
Na 22.99 Na.upf
P 30.97 P.upf
CELL_PARAMETERS angstrom
-0.3852 8.1860 3.4993
-6.9889 -3.2559 -4.3877
-8.1458 -8.7641 19.4425
ATOMIC_POSITIONS crystal
O 0.4704 0.1679 0.5258
O 0.8317 0.5270 0.0265
O 0.9745 0.8139 0.0912
O 0.4985 0.6472 0.5751
O 0.3041 0.4644 0.4711
O 0.1673 0.4815 0.2583
O 0.1964 0.1654 0.8071
O 0.1333 0.6351 0.3584
O 0.1609 0.9738 0.9089
O 0.8289 0.0266 0.0907
O 0.0263 0.8402 0.4089
O 0.0221 0.1849 0.9089
O 0.5356 0.6962 0.9713
O 0.3030 0.8265 0.2581
O 0.1687 0.4706 0.9732
O 0.5177 0.6881 0.2587
O 0.8022 0.8281 0.9090
O 0.4989 0.8611 0.3602
O 0.6404 0.1472 0.4244
O 0.4713 0.3026 0.0263
O 0.5333 0.8350 0.4749
O 0.3626 0.4937 0.3622
O 0.6970 0.5235 0.2418
O 0.5049 0.1478 0.9252
O 0.1711 0.1974 0.4092
O 0.5032 0.1328 0.6396
O 0.8369 0.8002 0.3063
O 0.6962 0.1615 0.0286
O 0.6349 0.4992 0.6403
O 0.5058 0.8640 0.0750
O 0.1633 0.2001 0.6937
O 0.4824 0.1704 0.2412
O 0.8521 0.4961 0.4246
O 0.1970 0.0314 0.3075
O 0.9690 0.1653 0.3074
O 0.5192 0.8267 0.7583
O 0.9679 0.8030 0.8076
O 0.1676 0.6955 0.4730
O 0.3045 0.4773 0.7587
O 0.1853 0.0241 0.5911
O 0.8031 0.8345 0.1925
O 0.3649 0.8642 0.8601
O 0.8678 0.3649 0.6419
O 0.3615 0.5078 0.0748
O 0.8325 0.3142 0.2416
O 0.0310 0.1963 0.1926
O 0.4811 0.3083 0.7423
O 0.5060 0.6362 0.8622
O 0.4954 0.3596 0.4241
O 0.8674 0.5018 0.1416
O 0.8145 0.9772 0.4086
O 0.8333 0.8155 0.5910
O 0.7993 0.9690 0.6914
O 0.1678 0.6853 0.7581
O 0.6368 0.1306 0.1377
O 0.1631 0.9633 0.1937
O 0.5008 0.3625 0.1400
O 0.9694 0.1596 0.5909
O 0.3056 0.8328 0.9737
O 0.6968 0.1730 0.7422
O 0.8295 0.2978 0.5272
O 0.1474 0.6440 0.0751
O 0.1488 0.5043 0.5747
O 0.6403 0.5037 0.9245
O 0.6977 0.5297 0.5258
O 0.1347 0.4976 0.8585
O 0.3635 0.8565 0.5752
O 0.8525 0.3577 0.9257
O 0.8370 0.0350 0.8065
O 0.8336 0.5172 0.7424
O 0.1859 0.1634 0.0915
O 0.0324 0.8339 0.6931
Si 0.7089 0.7139 0.2493
Si 0.0433 0.6665 0.4162
Si 0.0430 0.3775 0.9163
Si 0.9989 0.7126 0.7508
Si 0.6231 0.9563 0.4171
Si 0.0000 0.2864 0.2500
Si 0.2911 0.0050 0.2507
Si 0.3772 0.3335 0.0827
Si 0.6664 0.6206 0.5826
Si 0.9541 0.6220 0.0833
Si 0.9581 0.3372 0.5838
Si 0.7097 0.9961 0.7500
Si 0.2916 0.2885 0.7502
Si 0.3758 0.0470 0.5825
Si 0.3335 0.9567 0.9175
Ta 0.3302 0.6668 0.5204
Ta 0.6625 0.3335 0.6871
Ta 0.6654 0.3339 0.9791
Ta 0.0044 0.0032 0.8542
Ta 0.0031 0.0007 0.1459
Ta 0.3250 0.6619 0.0210
Ta 0.0034 0.9991 0.6462
Ta 0.6638 0.3337 0.1871
Ta 0.6695 0.3336 0.4792
Ta 0.3359 0.6695 0.3128
Ta 0.9968 0.9974 0.3540
Ta 0.3353 0.6728 0.8130
Na 0.0034 0.9994 0.4994
Na 0.6634 0.3289 0.3341
Na 0.9999 0.6348 0.2500
Na 0.3371 0.6657 0.1661
Na 0.9993 0.3641 0.7501
Na 0.3338 0.6663 0.6667
Na 0.6675 0.9687 0.5834
Na 0.6628 0.3320 0.8337
Na 0.0014 0.0003 0.0000
P 0.6205 0.6680 0.9173
P 0.3332 0.3785 0.4167
P 0.6661 0.0447 0.0831